[1]
DFT (PBE) results for HoLuIn2 after structural relaxation.

POSCAR file:
```
HoLuIn2
1.0
0.0000 3.7179 3.7179
3.7179 0.0000 3.7179
3.7179 3.7179 0.0000
Ho Lu In
1 1 2
direct
0.5000 0.5000 0.5000
0.0000 0.0000 0.0000
0.2500 0.2500 0.2500
0.7500 0.7500 0.7500
```

## Properties
Uncorrected energy = -16.27 eV per formula unit

[2]
DFT (PBE) results for Ho2MgIn after structural relaxation.

POSCAR file:
```
Ho2MgIn
1.0
-3.9461 -3.4739 0.6114
-4.4387 0.5107 -2.8374
-1.0947 -3.4656 -3.8477
Ho Mg In
2 1 1
direct
0.2500 0.2500 0.2500
0.7500 0.7500 0.7500
0.0000 0.0000 0.0000
0.5000 0.5000 0.5000
```

## Properties
Uncorrected energy = -14.74 eV per formula unit

[3]
DFT (PBE) results for HoMgIn after structural relaxation.

POSCAR file:
```
HoMgIn
1.0
3.7514 -6.4976 0.0000
3.7514 6.4976 0.0000
0.0000 0.0000 4.6813
Ho Mg In
3 3 3
direct
0.0000 0.5655 0.0000
0.4345 0.4345 0.0000
0.5655 0.0000 0.0000
0.7584 0.7584 0.5000
0.2416 0.0000 0.5000
0.0000 0.2416 0.5000
0.6667 0.3333 0.5000
0.0000 0.0000 0.0000
0.3333 0.6667 0.5000
```

## Properties
Uncorrected energy = -10.06 eV per formula unit

[4]
DFT (PBE) results for HoMnIn after structural relaxation.

POSCAR file:
```
HoMnIn
1.0
2.3835 -4.1284 0.0000
2.3835 4.1284 0.0000
0.0000 0.0000 3.5144
Ho Mn In
1 1 1
direct
0.0000 0.0000 0.0000
0.6667 0.3333 0.5000
0.3333 0.6667 0.5000
```

## Properties
Uncorrected energy = -16.77 eV per formula unit

[5]
DFT (PBE) results for NdHoIn2 after structural relaxation.

POSCAR file:
```
NdHoIn2
1.0
0.0000 3.8162 3.8162
3.8162 0.0000 3.8162
3.8162 3.8162 0.0000
Nd Ho In
1 1 2
direct
0.0000 0.0000 0.0000
0.5000 0.5000 0.5000
0.2500 0.2500 0.2500
0.7500 0.7500 0.7500
```

## Properties
Uncorrected energy = -16.71 eV per formula unit

[6]
DFT (PBE) results for Ho5In4Ni2 after structural relaxation.

POSCAR file:
```
Ho5In4Ni2
1.0
8.0090 0.0000 0.0000
0.0000 17.9846 0.0000
0.0000 0.0000 3.5472
Ho In Ni
10 8 4
direct
0.5000 0.5000 0.0000
0.0000 0.0000 0.0000
0.7597 0.2780 0.0000
0.2403 0.7220 0.0000
0.7403 0.7780 0.0000
0.2597 0.2220 0.0000
0.6250 0.0875 0.0000
0.3750 0.9125 0.0000
0.8750 0.5875 0.0000
0.1250 0.4125 0.0000
0.7002 0.9306 0.5000
0.2998 0.0694 0.5000
0.7998 0.4306 0.5000
0.2002 0.5694 0.5000
0.5623 0.6521 0.5000
0.4377 0.3479 0.5000
0.9377 0.1521 0.5000
0.0623 0.8479 0.5000
0.5407 0.1956 0.5000
0.4593 0.8044 0.5000
0.9593 0.6956 0.5000
0.0407 0.3044 0.5000
```

## Properties
Uncorrected energy = -51.20 eV per formula unit